Below is a relaxed Mg5Si9 crystal, with properties calculated at the PBE level.

```
28
Lattice="-5.147 -3.243 -0.711 6.078 -4.290 0.095 -0.908 -6.199 11.531" Properties=species:S:1:pos:R:3 pbc="T T T"
Mg 0.703 -4.733 3.395
Si 3.401 -5.303 3.591
Si -0.590 -1.575 2.395
Mg -2.668 -5.916 7.898
Si 2.560 -7.322 2.578
Si -4.132 -5.619 5.511
Si 1.354 -4.315 0.615
Mg -2.461 -8.318 5.531
Mg 4.505 -7.350 5.039
Si -1.551 -6.118 2.279
Si -3.814 -5.331 3.114
Si -1.381 -7.940 9.850
Si -3.601 -8.501 8.673
Si -0.628 -8.142 7.588
Si -1.101 -10.518 7.122
Mg -0.062 -4.861 7.046
Si 2.199 -7.664 9.367
Si -1.634 -5.721 4.838
Si -1.236 -3.757 1.672
Mg 0.398 -7.593 4.484
Mg 2.991 -9.531 11.206
Si 1.686 -7.738 6.854
Mg 0.662 -10.390 9.280
Si 0.753 -6.749 0.973
Si -5.627 -9.074 9.984
Si -1.591 -10.115 10.876
Mg 3.450 -6.155 0.227
Mg 1.665 -1.604 0.742
```

Summary:
The size of the total moment is 0.005 μB/cell. The calculation puts the total energy at -108.837 eV/cell. The distance to the lowest polymorph of the same formula is 67 meV per atom. As for the formation energy: 218 meV per atom. As for the space-group type: No. 1.